w.
Compound: YMn2O4
Source: the Materials Project
Functional: PBE+U
Structure: optimized geometry

```
YMn2O4
1.0
3.629 -4.173 -2.995
-3.905 3.747 -3.482
2.514 4.727 -3.299
Mn Y O
4 2 8
direct
0.365 0.250 0.365
0.635 0.750 0.635
0.999 0.000 0.000
0.000 0.499 0.001
0.500 0.000 0.000
0.000 0.500 0.500
0.235 0.525 0.214
0.786 0.025 0.765
0.215 0.976 0.235
0.224 0.014 0.768
0.776 0.986 0.232
0.768 0.486 0.224
0.765 0.476 0.785
0.232 0.514 0.776
```

=====

x.
Compound: YMn2O4
Source: the Materials Project
Functional: PBE+U
Structure: optimized geometry

```
YMn2O4
1.0
-2.872 2.872 4.931
2.872 -2.872 4.931
2.872 2.872 -4.931
Mn O Y
4 8 2
direct
0.375 0.125 0.750
0.375 0.625 0.250
0.375 0.625 0.750
0.875 0.625 0.250
0.597 0.648 0.643
0.153 0.602 0.857
0.703 0.847 0.448
0.352 0.995 0.948
0.398 0.255 0.552
0.005 0.953 0.357
0.745 0.297 0.143
0.047 0.403 0.052
0.000 0.000 0.000
0.750 0.250 0.500
```

=====

y.
Compound: YMn2O4
Source: the Materials Project
Functional: PBE+U
Structure: optimized geometry

```
YMn2O4
1.0
-5.701 1.021 2.702
-4.234 -4.770 0.397
-1.341 -2.601 5.681
O Y Mn
8 2 4
direct
0.758 0.199 0.758
0.758 0.758 0.199
0.242 0.801 0.242
0.752 0.752 0.752
0.248 0.248 0.248
0.242 0.242 0.801
0.801 0.242 0.242
0.199 0.758 0.758
0.618 0.618 0.618
0.382 0.382 0.382
0.000 0.000 0.500
0.500 0.000 0.000
0.000 0.000 0.000
0.000 0.500 0.000
```

=====

The structure with the greatest stability is w.

=====

w.
Compound: Mn2ZnO5
Source: the Materials Project
Functional: PBE+U
Structure: optimized geometry

```
Mn2ZnO5
1.0
3.547 0.000 0.000
0.000 4.410 0.000
0.000 0.000 11.676
O Zn Mn
10 2 4
direct
0.500 0.951 0.822
0.000 0.049 0.322
0.000 0.049 0.678
0.000 0.923 0.000
0.500 0.951 0.178
0.500 0.077 0.500
0.000 0.447 0.115
0.500 0.553 0.385
0.500 0.553 0.615
0.000 0.447 0.885
0.000 0.432 0.500
0.500 0.568 0.000
0.000 0.053 0.848
0.000 0.053 0.152
0.500 0.947 0.348
0.500 0.947 0.652
```

=====

x.
Compound: Mn2ZnO5
Source: the Materials Project
Functional: PBE+U
Structure: optimized geometry

```
Mn2ZnO5
1.0
1.840 -4.848 0.000
1.840 4.848 0.000
0.000 0.000 11.645
Mn O Zn
4 10 2
direct
0.219 0.781 0.402
0.781 0.219 0.902
0.781 0.219 0.598
0.219 0.781 0.098
0.235 0.765 0.575
0.765 0.235 0.425
0.041 0.959 0.382
0.765 0.235 0.075
0.698 0.302 0.750
0.041 0.959 0.118
0.959 0.041 0.882
0.959 0.041 0.618
0.235 0.765 0.925
0.302 0.698 0.250
0.082 0.918 0.750
0.918 0.082 0.250
```

=====

The structure with the greatest stability is x.

=====

w.
Compound: Mn3ZnO10
Source: the Materials Project
Functional: PBE+U
Structure: optimized geometry

```
Mn3ZnO10
1.0
7.060 -3.826 0.000
7.060 3.826 0.000
4.987 0.000 6.294
Mn O Zn
6 20 2
direct
0.424 0.717 0.859
0.576 0.283 0.141
0.859 0.424 0.717
0.717 0.859 0.424
0.283 0.141 0.576
0.141 0.576 0.283
0.575 0.144 0.427
0.151 0.693 0.999
0.339 0.926 0.228
0.849 0.307 0.001
0.772 0.661 0.074
0.856 0.573 0.425
0.286 0.286 0.286
0.144 0.427 0.575
0.999 0.151 0.693
0.307 0.001 0.849
0.425 0.856 0.573
0.427 0.575 0.144
0.074 0.772 0.661
0.926 0.228 0.339
0.001 0.849 0.307
0.714 0.714 0.714
0.693 0.999 0.151
0.228 0.339 0.926
0.661 0.074 0.772
0.573 0.425 0.856
0.106 0.106 0.106
0.894 0.894 0.894
```

=====

x.
Compound: Mn3ZnO10
Source: the Materials Project
Functional: PBE+U
Structure: optimized geometry

```
Mn3ZnO10
1.0
-4.758 -1.510 -7.567
-6.991 -5.606 -1.365
-8.661 1.959 -1.825
O Zn Mn
20 2 6
direct
0.311 0.994 0.830
0.423 0.569 0.131
0.994 0.830 0.311
0.131 0.423 0.569
0.579 0.011 0.913
0.689 0.006 0.170
0.006 0.170 0.689
0.569 0.131 0.423
0.989 0.087 0.421
0.913 0.579 0.011
0.421 0.989 0.087
0.170 0.689 0.006
0.087 0.421 0.989
0.577 0.431 0.869
0.431 0.869 0.577
0.293 0.293 0.293
0.707 0.707 0.707
0.869 0.577 0.431
0.011 0.913 0.579
0.830 0.311 0.994
0.064 0.064 0.064
0.936 0.936 0.936
0.430 0.718 0.852
0.570 0.282 0.148
0.282 0.148 0.570
0.718 0.852 0.430
0.852 0.430 0.718
0.148 0.570 0.282
```

=====

y.
Compound: Mn3ZnO10
Source: the Materials Project
Functional: PBE+U
Structure: optimized geometry

```
Mn3ZnO10
1.0
-7.318 -2.245 -1.144
-1.897 -3.753 -6.500
-1.349 -8.314 1.198
O Mn Zn
20 6 2
direct
0.862 0.585 0.130
0.008 0.075 0.501
0.165 0.691 0.150
0.583 0.437 0.127
0.138 0.415 0.870
0.473 0.149 0.484
0.705 0.704 0.874
0.527 0.851 0.516
0.007 0.171 0.136
0.835 0.309 0.850
0.303 0.983 0.863
0.568 0.130 0.869
0.712 0.737 0.494
0.993 0.829 0.864
0.295 0.296 0.126
0.417 0.563 0.873
0.288 0.263 0.506
0.992 0.925 0.499
0.432 0.870 0.131
0.697 0.017 0.137
0.858 0.430 0.997
0.574 0.287 0.996
0.426 0.713 0.004
0.285 0.142 0.999
0.715 0.858 0.001
0.142 0.570 0.003
0.939 0.939 0.205
0.061 0.061 0.795
```

=====

The structure with the greatest stability is y.